PBE-GGA BeBPt2, relaxed; calculated density = 1.317 g/cm³; space-group type = Immm; total magnetic moment = 1.00 μB/f.u.; crystal system = orthorhombic; electronic total energy = -14.87 eV for the cell shown
1.0
1.099 0.925 -8.074
8.648 0.153 -2.970
3.067 -7.295 -4.583
Be B Pt
1 1 2
Cartesian
0.000 0.000 0.000
0.550 0.463 -4.037
0.801 0.674 -5.887
0.298 0.251 -2.187

=====

PBE-GGA BeReB, relaxed; calculated density = 9.886 g/cm³; space-group type = F-43m; total magnetic moment = 0.00 μB/f.u.; crystal system = cubic; electronic total energy = -20.33 eV for the cell shown
1.0
0.000 2.586 2.586
2.586 0.000 2.586
2.586 2.586 0.000
Be Re B
1 1 1
Cartesian
2.586 2.586 2.586
3.880 3.880 3.880
0.000 0.000 0.000

=====

PBE-GGA TiBeB, relaxed; calculated density = 3.843 g/cm³; space-group type = P-6m2; total magnetic moment = 0.00 μB/f.u.; crystal system = hexagonal; electronic total energy = -19.95 eV for the cell shown
1.0
-1.639 -2.839 0.000
-1.639 2.839 0.000
0.000 0.000 -3.143
Ti Be B
1 1 1
Cartesian
-1.639 -2.839 0.000
-1.639 0.946 -1.571
-1.639 -0.946 -1.571

=====

PBE-GGA U4Be51B, relaxed; calculated density = 4.530 g/cm³; space-group type = R-3; total magnetic moment = 9.34 μB/f.u.; crystal system = trigonal; electronic total energy = -247.17 eV for the cell shown
1.0
11.894 -3.585 0.000
11.894 3.585 0.000
10.814 0.000 6.114
U Be B
4 51 1
Cartesian
21.635 0.000 3.823
4.315 0.000 0.762
12.967 0.000 2.291
30.287 0.000 5.352
13.376 2.775 1.238
18.811 -0.829 4.316
21.225 -2.775 4.877
15.791 0.829 1.798
23.799 0.813 1.927
17.314 0.828 5.026
10.802 -0.813 4.187
17.288 -0.828 1.089
10.297 -1.266 2.047
27.588 -1.263 5.110
24.304 1.266 4.068
7.013 1.263 1.004
14.493 1.264 0.074
19.905 -2.324 3.123
20.109 -1.264 6.041
14.697 2.324 2.991
21.933 0.427 0.872
15.411 0.431 3.948
12.669 -0.427 5.242
19.191 -0.431 2.166
11.510 -1.536 0.180
16.907 2.091 3.243
23.091 1.536 5.935
17.694 -2.091 2.872
24.055 -0.439 5.478
6.763 -0.431 2.423
10.546 0.439 0.637
27.839 0.431 3.691
20.938 -1.489 1.344
14.448 -1.498 4.400
13.663 1.489 4.770
20.154 1.498 1.715
23.336 -2.349 4.548
17.944 1.263 1.460
11.265 2.349 1.567
16.658 -1.263 4.655
13.505 -2.348 0.509
18.941 1.261 3.580
21.096 2.348 5.606
15.661 -1.261 2.534
14.044 -2.754 2.614
19.453 0.826 5.678
20.557 2.754 3.501
15.148 -0.826 0.436
10.165 0.827 2.796
27.458 0.832 5.845
24.437 -0.827 3.319
7.143 -0.832 0.269
17.301 0.000 3.057
25.944 0.000 4.585
8.657 0.000 1.530
0.000 0.000 0.000

=====

PBE-GGA BiB6, relaxed; calculated density = 6.077 g/cm³; space-group type = Pm-3m; total magnetic moment = 0.02 μB/f.u.; crystal system = cubic; electronic total energy = -41.59 eV for the cell shown
1.0
-1.118 1.211 -3.878
-0.160 -4.033 -1.213
-4.060 -0.174 1.116
Bi B
1 6
Cartesian
0.000 0.000 0.000
-2.335 -1.859 -0.830
-3.880 -1.550 -1.654
-1.458 -1.446 -2.320
-2.621 -0.295 -1.626
-2.717 -2.701 -2.349
-3.003 -1.137 -3.145

=====

PBE-GGA CaBiB, relaxed; calculated density = 5.241 g/cm³; space-group type = F-43m; total magnetic moment = 0.00 μB/f.u.; crystal system = cubic; electronic total energy = -9.74 eV for the cell shown
1.0
-3.889 -2.194 1.976
-2.844 2.432 3.137
-4.501 1.350 -1.327
Ca Bi B
1 1 1
Cartesian
-8.426 1.191 2.839
-5.617 0.794 1.893
0.000 0.000 0.000

=====

Look up the calculated density of the fifth one.
6.077 g/cm³